one | VASP calculation (PBE+U) on crystalline K2MgFe4P6O16F12 at its relaxed geometry.

Magnetization   0.439 μB per atom

Lattice parameters (Å, degrees): 7.630 7.648 10.932 69.63 78.33 89.65
Space group P1 (No. 1)
Symmetry-distinct sites (fractional):
K 0.000 0.000 0.000 [1 per cell]
K 0.128 0.115 0.381 [1 per cell]
Mg 0.565 0.557 0.691 [1 per cell]
Fe 0.064 0.559 0.691 [1 per cell]
Fe 0.384 0.745 0.871 [1 per cell]
Fe 0.562 0.555 0.192 [1 per cell]
Fe 0.741 0.371 0.510 [1 per cell]
P 0.153 0.584 0.376 [1 per cell]
P 0.319 0.203 0.698 [1 per cell]
P 0.490 0.282 0.025 [1 per cell]
P 0.637 0.830 0.357 [1 per cell]
P 0.808 0.914 0.682 [1 per cell]
P 0.974 0.531 0.008 [1 per cell]
O 0.132 0.662 0.990 [1 per cell]
O 0.151 0.302 0.732 [1 per cell]
O 0.175 0.632 0.496 [1 per cell]
O 0.321 0.525 0.304 [1 per cell]
O 0.323 0.019 0.808 [1 per cell]
O 0.478 0.436 0.899 [1 per cell]
O 0.492 0.330 0.650 [1 per cell]
O 0.498 0.320 0.149 [1 per cell]
O 0.626 0.789 0.235 [1 per cell]
O 0.636 0.785 0.730 [1 per cell]
O 0.654 0.676 0.483 [1 per cell]
O 0.804 0.095 0.570 [1 per cell]
O 0.804 0.589 0.078 [1 per cell]
O 0.954 0.486 0.886 [1 per cell]
O 0.978 0.816 0.651 [1 per cell]
O 0.993 0.453 0.397 [1 per cell]
F 0.009 0.329 0.111 [1 per cell]
F 0.116 0.784 0.272 [1 per cell]
F 0.299 0.156 0.570 [1 per cell]
F 0.307 0.650 0.714 [1 per cell]
F 0.329 0.131 0.063 [1 per cell]
F 0.479 0.949 0.390 [1 per cell]
F 0.483 0.719 0.035 [1 per cell]
F 0.641 0.387 0.347 [1 per cell]
F 0.648 0.160 0.994 [1 per cell]
F 0.797 0.982 0.315 [1 per cell]
F 0.822 0.466 0.670 [1 per cell]
F 0.825 0.966 0.809 [1 per cell]

two | VASP calculation (PBE+U) on crystalline K2MgFe4P6O16F12 at its relaxed geometry.

Magnetization   0.439 μB per atom

Lattice parameters (Å, degrees): 7.474 7.936 10.796 100.32 108.82 90.64
Space group P1 (No. 1)
Symmetry-distinct sites (fractional):
K 0.000 0.000 0.000 [1 per cell]
K 0.448 0.856 0.446 [1 per cell]
Mg 0.851 0.127 0.308 [1 per cell]
Fe 0.223 0.906 0.735 [1 per cell]
Fe 0.554 0.582 0.885 [1 per cell]
Fe 0.699 0.431 0.213 [1 per cell]
Fe 0.894 0.233 0.591 [1 per cell]
P 0.187 0.301 0.379 [1 per cell]
P 0.266 0.503 0.054 [1 per cell]
P 0.521 0.967 0.045 [1 per cell]
P 0.553 0.186 0.723 [1 per cell]
P 0.874 0.638 0.729 [1 per cell]
P 0.923 0.824 0.415 [1 per cell]
O 0.020 0.793 0.781 [1 per cell]
O 0.027 0.291 0.249 [1 per cell]
O 0.098 0.807 0.530 [1 per cell]
O 0.129 0.228 0.480 [1 per cell]
O 0.324 0.565 0.950 [1 per cell]
O 0.352 0.008 0.935 [1 per cell]
O 0.407 0.454 0.173 [1 per cell]
O 0.416 0.027 0.687 [1 per cell]
O 0.477 0.353 0.771 [1 per cell]
O 0.631 0.817 0.009 [1 per cell]
O 0.636 0.187 0.613 [1 per cell]
O 0.659 0.120 0.130 [1 per cell]
O 0.779 0.619 0.831 [1 per cell]
O 0.799 0.666 0.338 [1 per cell]
O 0.812 0.984 0.436 [1 per cell]
O 0.947 0.480 0.668 [1 per cell]
F 0.012 0.889 0.303 [1 per cell]
F 0.066 0.101 0.720 [1 per cell]
F 0.106 0.354 0.986 [1 per cell]
F 0.145 0.643 0.107 [1 per cell]
F 0.287 0.486 0.434 [1 per cell]
F 0.353 0.202 0.348 [1 per cell]
F 0.383 0.705 0.750 [1 per cell]
F 0.427 0.913 0.150 [1 per cell]
F 0.703 0.479 0.040 [1 per cell]
F 0.709 0.694 0.608 [1 per cell]
F 0.724 0.154 0.850 [1 per cell]
F 0.743 0.322 0.379 [1 per cell]

Taking the most stable structure as the zero point, the relative energies in meV per atom are one 0; two 46.

one | VASP calculation (PBE+U) on crystalline CaV6O11F at its relaxed geometry.

Magnetization   0.474 μB per atom

Lattice parameters (Å, degrees): 5.088 5.155 10.092 89.61 80.47 74.75
Space group P1 (No. 1)
Symmetry-distinct sites (fractional):
Ca 0.000 0.000 0.000 [1 per cell]
V 0.211 0.472 0.771 [1 per cell]
V 0.311 0.209 0.203 [1 per cell]
V 0.381 0.406 0.481 [1 per cell]
V 0.666 0.646 0.949 [1 per cell]
V 0.705 0.821 0.655 [1 per cell]
V 0.866 0.849 0.369 [1 per cell]
O 0.025 0.008 0.227 [1 per cell]
O 0.033 0.408 0.949 [1 per cell]
O 0.049 0.514 0.613 [1 per cell]
O 0.126 0.521 0.332 [1 per cell]
O 0.481 0.660 0.796 [1 per cell]
O 0.484 0.162 0.657 [1 per cell]
O 0.511 0.964 0.053 [1 per cell]
O 0.520 0.100 0.353 [1 per cell]
O 0.608 0.658 0.491 [1 per cell]
O 0.893 0.835 0.812 [1 per cell]
O 0.953 0.981 0.500 [1 per cell]
F 0.549 0.442 0.114 [1 per cell]

two | VASP calculation (PBE+U) on crystalline CaV6O11F at its relaxed geometry.

Magnetization   0.472 μB per atom

Lattice parameters (Å, degrees): 5.275 5.278 8.667 90.09 90.15 106.19
Space group P1 (No. 1)
Symmetry-distinct sites (fractional):
Ca 0.000 0.000 0.000 [1 per cell]
V 0.315 0.683 0.326 [1 per cell]
V 0.317 0.685 0.675 [1 per cell]
V 0.341 0.659 0.000 [1 per cell]
V 0.720 0.278 0.195 [1 per cell]
V 0.723 0.281 0.805 [1 per cell]
V 0.922 0.078 0.500 [1 per cell]
O 0.026 0.350 0.340 [1 per cell]
O 0.026 0.353 0.660 [1 per cell]
O 0.139 0.862 0.500 [1 per cell]
O 0.170 0.826 0.185 [1 per cell]
O 0.173 0.829 0.815 [1 per cell]
O 0.494 0.506 0.173 [1 per cell]
O 0.495 0.507 0.828 [1 per cell]
O 0.580 0.029 0.001 [1 per cell]
O 0.647 0.975 0.341 [1 per cell]
O 0.650 0.975 0.661 [1 per cell]
O 0.972 0.420 0.999 [1 per cell]
F 0.473 0.528 0.500 [1 per cell]

Taking the most stable structure as the zero point, the relative energies in meV per atom are one 36; two 0.

one | VASP calculation (PBE+U) on crystalline BaFeCuF7 at its relaxed geometry.

Magnetization   0.600 μB per atom

Lattice parameters (Å, degrees): 10.856 10.194 5.734 90.00 118.81 90.00
Space group Cc (No. 9)
Symmetry-distinct sites (fractional):
Ba 0.000 0.181 0.000 [4 per cell]
Fe 0.316 0.110 0.861 [4 per cell]
Cu 0.191 0.402 0.628 [4 per cell]
F 0.009 0.316 0.519 [4 per cell]
F 0.134 0.043 0.763 [4 per cell]
F 0.135 0.429 0.252 [4 per cell]
F 0.264 0.273 0.979 [4 per cell]
F 0.267 0.197 0.529 [4 per cell]
F 0.376 0.046 0.236 [4 per cell]
F 0.377 0.456 0.733 [4 per cell]

two | VASP calculation (PBE+U) on crystalline BaFeCuF7 at its relaxed geometry.

Magnetization   0.600 μB per atom

Lattice parameters (Å, degrees): 10.816 10.116 5.753 90.00 118.50 90.00
Space group C2 (No. 5)
Symmetry-distinct sites (fractional):
Ba 0.000 0.000 0.000 [2 per cell]
Ba 0.000 0.366 0.500 [2 per cell]
Fe 0.191 0.792 0.636 [4 per cell]
Cu 0.184 0.582 0.129 [4 per cell]
F 0.000 0.501 0.000 [2 per cell]
F 0.000 0.874 0.500 [2 per cell]
F 0.125 0.225 0.262 [4 per cell]
F 0.126 0.744 0.265 [4 per cell]
F 0.130 0.633 0.736 [4 per cell]
F 0.132 0.140 0.766 [4 per cell]
F 0.246 0.890 0.968 [4 per cell]
F 0.247 0.959 0.519 [4 per cell]

Taking the most stable structure as the zero point, the relative energies in meV per atom are one 9; two 0.

one | VASP calculation (PBE+U) on crystalline Li2CrP2O7 at its relaxed geometry.

Magnetization   0.333 μB per atom

Lattice parameters (Å, degrees): 14.577 5.633 7.977 90.00 117.90 90.00
Space group C2/c (No. 15)
Symmetry-distinct sites (fractional):
Li 0.220 0.156 0.310 [8 per cell]
Cr 0.000 0.000 0.000 [4 per cell]
P 0.113 0.361 0.856 [8 per cell]
O 0.000 0.493 0.750 [4 per cell]
O 0.112 0.227 0.029 [8 per cell]
O 0.120 0.182 0.715 [8 per cell]
O 0.194 0.447 0.417 [8 per cell]

two | VASP calculation (PBE+U) on crystalline Li2CrP2O7 at its relaxed geometry.

Lattice parameters (Å, degrees): 15.568 5.042 8.943 90.00 115.16 90.00
Space group C2/c (No. 15)
Symmetry-distinct sites (fractional):
Li 0.190 0.144 0.052 [8 per cell]
Cr 0.000 0.000 0.000 [4 per cell]
P 0.103 0.365 0.316 [8 per cell]
O 0.000 0.482 0.750 [4 per cell]
O 0.102 0.155 0.440 [8 per cell]
O 0.106 0.231 0.163 [8 per cell]
O 0.178 0.424 0.890 [8 per cell]

Taking the most stable structure as the zero point, the relative energies in meV per atom are one 36; two 0.